(1)
First-principles (PBE+U) data for LiV3O4 after structural relaxation, as listed in the Materials Project.

## Properties
* energy: -7.388 eV/atom
* ΔH_f (0 K): -2.2497 eV/atom
* symmetry: P2/m (10)
* excess energy over the best structure of this formula in the dataset: 39 meV/atom

```
LiV3O4
1.0
5.279 0.000 0.000
0.000 6.096 0.000
-1.828 0.000 4.956
Li V O
2 6 8
direct
0.000 0.000 0.000 Li
0.500 0.500 0.500 Li
0.000 0.247 0.500 V
0.000 0.500 0.000 V
0.000 0.753 0.500 V
0.500 0.000 0.500 V
0.500 0.246 0.000 V
0.500 0.754 0.000 V
0.240 0.500 0.764 O
0.246 0.258 0.244 O
0.246 0.742 0.244 O
0.251 0.000 0.752 O
0.749 0.000 0.248 O
0.754 0.258 0.756 O
0.754 0.742 0.756 O
0.760 0.500 0.236 O
```



(2)
First-principles (PBE+U) data for CaCrGe2O6 after structural relaxation, as listed in the Materials Project.

## Properties
* energy: -6.850 eV/atom
* ΔH_f (0 K): -2.4029 eV/atom
* excess energy over the best structure of this formula in the dataset: 0 meV/atom

```
CaCrGe2O6
1.0
-3.267 -5.114 -3.135
0.784 -4.341 6.799
-8.826 0.460 4.585
Ca Cr Ge O
4 4 8 24
direct
0.307 0.976 0.724 Ca
0.307 0.476 0.224 Ca
0.693 0.024 0.276 Ca
0.693 0.524 0.777 Ca
0.906 0.169 0.924 Cr
0.094 0.332 0.575 Cr
0.906 0.668 0.425 Cr
0.094 0.832 0.075 Cr
0.381 0.705 0.488 Ge
0.381 0.205 0.988 Ge
0.817 0.947 0.670 Ge
0.817 0.447 0.169 Ge
0.619 0.295 0.512 Ge
0.619 0.795 0.012 Ge
0.183 0.053 0.330 Ge
0.183 0.554 0.830 Ge
0.325 0.930 0.458 O
0.325 0.430 0.958 O
0.609 0.862 0.824 O
0.609 0.362 0.324 O
0.675 0.070 0.542 O
0.675 0.570 0.042 O
0.391 0.138 0.175 O
0.391 0.638 0.676 O
0.115 0.236 0.377 O
0.115 0.736 0.877 O
0.379 0.274 0.612 O
0.379 0.774 0.112 O
0.885 0.764 0.623 O
0.885 0.264 0.123 O
0.621 0.726 0.388 O
0.621 0.226 0.888 O
0.200 0.580 0.443 O
0.200 0.081 0.942 O
0.993 0.083 0.704 O
0.993 0.583 0.204 O
0.800 0.419 0.558 O
0.800 0.920 0.057 O
0.007 0.917 0.296 O
0.007 0.418 0.796 O
```



(3)
First-principles (PBE+U) data for MgTi2Mn4O12 after structural relaxation, as listed in the Materials Project.

## Properties
* energy: -7.620 eV/atom
* ΔH_f (0 K): -2.4354 eV/atom
* symmetry: P1 (1)
* excess energy over the best structure of this formula in the dataset: 2 meV/atom

```
MgTi2Mn4O12
1.0
5.115 0.000 0.000
2.554 4.562 0.000
0.651 1.223 10.228
Mg Ti Mn O
1 2 4 12
direct
0.000 0.000 0.000 Mg
0.038 0.762 0.731 Ti
0.552 0.260 0.277 Ti
0.203 0.944 0.261 Mn
0.362 0.080 0.761 Mn
0.697 0.416 0.757 Mn
0.865 0.613 0.254 Mn
0.034 0.360 0.856 O
0.070 0.081 0.651 O
0.183 0.668 0.158 O
0.197 0.256 0.346 O
0.312 0.768 0.863 O
0.365 0.430 0.665 O
0.531 0.589 0.350 O
0.532 0.967 0.164 O
0.687 0.779 0.669 O
0.705 0.056 0.855 O
0.872 0.948 0.365 O
0.876 0.252 0.150 O
```



(4)
First-principles (PBE+U) data for Na2VO3 after structural relaxation, as listed in the Materials Project.

## Properties
* energy: -5.930 eV/atom
* ΔH_f (0 K): -2.1281 eV/atom
* symmetry: Fdd2 (43)

```
Na2VO3
1.0
0.000 9.216 4.486
3.222 0.000 4.486
3.222 9.216 0.000
Na V O
8 4 12
direct
0.255 0.745 0.256 Na
0.428 0.574 0.415 Na
0.506 0.994 0.505 Na
0.574 0.428 0.583 Na
0.667 0.835 0.676 Na
0.745 0.255 0.744 Na
0.835 0.667 0.822 Na
0.994 0.506 0.995 Na
0.073 0.934 0.100 V
0.150 0.356 0.177 V
0.356 0.150 0.316 V
0.934 0.073 0.894 V
0.049 0.451 0.440 O
0.098 0.945 0.588 O
0.164 0.295 0.641 O
0.191 0.810 0.799 O
0.295 0.164 0.900 O
0.350 0.609 0.955 O
0.451 0.049 0.059 O
0.609 0.350 0.086 O
0.662 0.881 0.152 O
0.810 0.191 0.201 O
0.881 0.662 0.305 O
0.945 0.098 0.369 O
```



(5)
First-principles (PBE+U) data for NaEuDyWO6 after structural relaxation, as listed in the Materials Project.

## Properties
* energy: -7.912 eV/atom
* ΔH_f (0 K): -2.8848 eV/atom
* symmetry: F-43m (216)

```
NaEuDyWO6
1.0
0.000 4.165 4.165
4.165 0.000 4.165
4.165 4.165 0.000
Na Eu Dy W O
1 1 1 1 6
direct
0.000 0.000 0.000 Na
0.500 0.500 0.500 Eu
0.750 0.750 0.750 Dy
0.250 0.250 0.250 W
0.016 0.016 0.484 O
0.016 0.484 0.016 O
0.016 0.484 0.484 O
0.484 0.016 0.016 O
0.484 0.016 0.484 O
0.484 0.484 0.016 O
```



(6)
First-principles (PBE+U) data for YVO2 after structural relaxation, as listed in the Materials Project.

## Properties
* energy: -8.107 eV/atom
* ΔH_f (0 K): -2.5143 eV/atom
* symmetry: I4_1/amd (141)

```
YVO2
1.0
-3.100 3.100 5.849
3.100 -3.100 5.849
3.100 3.100 -5.849
Y V O
4 4 8
direct
0.000 0.000 0.000 Y
0.000 0.000 0.500 Y
0.000 0.500 0.000 Y
0.500 0.000 0.500 Y
0.000 0.500 0.500 V
0.500 0.000 0.000 V
0.500 0.500 0.000 V
0.500 0.500 0.500 V
0.201 0.218 0.517 O
0.201 0.684 0.983 O
0.218 0.201 0.017 O
0.316 0.799 0.517 O
0.684 0.201 0.483 O
0.782 0.799 0.983 O
0.799 0.316 0.017 O
0.799 0.782 0.483 O
```



Look up the energy of the first one.
-7.388 eV/atom



What is the energy in the sixth record?
-8.107 eV/atom